First-principles (GGA-PBE) data for an optimized crystal structure of KCa4Si8H16O28F, as listed in Materials Project.

Polymorph energy (0 for the lowest one) = 0.0000 eV/atom
ΔH_f (0 K) = -2494.3 meV per atom

The structure in CIF format:
```
data_KCa4Si8H16O28F
_chemical_formula_sum 'K2 Ca8 Si16 H32 O56 F2'
_symmetry_space_group_name_H-M 'P 4/m n c'
_symmetry_Int_Tables_number 128
_symmetry_space_group_name_Hall '-P 4 2n'
_cell_length_a 9.0667
_cell_length_b 9.0667
_cell_length_c 16.0128
_cell_angle_alpha 90.00
_cell_angle_beta 90.00
_cell_angle_gamma 90.00
loop_
_atom_site_label
_atom_site_type_symbol
_atom_site_fract_x
_atom_site_fract_y
_atom_site_fract_z
_atom_site_occupancy
K1 K 0.0000 0.0000 0.0000 1
Ca1 Ca 0.1100 0.2457 0.5000 1
Si1 Si 0.0867 0.7742 0.3103 1
H1 H 0.0515 0.6712 0.0887 1
H2 H 0.0742 0.2781 0.1488 1
O1 O 0.0504 0.2861 0.0892 1
O2 O 0.0842 0.1899 0.2822 1
O3 O 0.1017 0.7349 0.4081 1
O4 O 0.1372 0.6372 0.2500 1
F1 F 0.0000 0.0000 0.5000 1
```